1.
! TbNiGe, optimized geometry, DFT r²SCAN; values from VASP
&SYSTEM
  ibrav = 0, nat = 12, ntyp = 3
/
ATOMIC_SPECIES
Ni 58.69 Ni.upf
Ge 72.64 Ge.upf
Tb 158.93 Tb.upf
CELL_PARAMETERS angstrom
4.218 0.000 0.000
0.000 6.944 0.000
0.000 0.000 7.239
ATOMIC_POSITIONS crystal
Ni 0.750 0.809 0.919
Ni 0.250 0.691 0.419
Ni 0.250 0.191 0.081
Ni 0.750 0.309 0.581
Ge 0.250 0.802 0.089
Ge 0.750 0.198 0.911
Ge 0.250 0.302 0.411
Ge 0.750 0.698 0.589
Tb 0.750 0.509 0.208
Tb 0.250 0.491 0.792
Tb 0.250 0.991 0.708
Tb 0.750 0.009 0.292
! total moment: 0.00 μB per formula unit
! DFT formation energy: -0.84 eV per atom
! symmetry: Pnma (62)
! E: -59.6 eV per formula unit



2.
! Er2CuRu, optimized geometry, DFT r²SCAN; values from VASP
&SYSTEM
  ibrav = 0, nat = 4, ntyp = 3
/
ATOMIC_SPECIES
Cu 63.55 Cu.upf
Er 167.26 Er.upf
Ru 101.07 Ru.upf
CELL_PARAMETERS angstrom
-0.251 -2.790 3.858
2.055 1.378 4.076
-2.699 1.299 3.710
ATOMIC_POSITIONS crystal
Cu 0.250 0.250 0.250
Er 0.000 0.000 0.000
Er 0.500 0.500 0.500
Ru 0.750 0.750 0.750
! total moment: 0.00 μB per formula unit
! DFT formation energy: -0.41 eV per atom
! symmetry: Fm-3m (225)
! E: -105.7 eV per formula unit



3.
! BiClF8, optimized geometry, DFT r²SCAN; values from VASP
&SYSTEM
  ibrav = 0, nat = 20, ntyp = 3
/
ATOMIC_SPECIES
F 19.00 F.upf
Cl 35.45 Cl.upf
Bi 208.98 Bi.upf
CELL_PARAMETERS angstrom
5.087 0.025 -0.065
-0.338 5.664 -0.019
-0.772 -0.191 10.484
ATOMIC_POSITIONS crystal
F 0.594 0.451 0.883
F 0.301 0.943 0.394
F 0.651 0.957 0.896
F 0.183 0.319 0.570
F 0.885 0.289 0.086
F 0.173 0.830 0.647
F 0.406 0.549 0.117
F 0.349 0.043 0.104
F 0.817 0.681 0.430
F 0.625 0.532 0.665
F 0.115 0.711 0.914
F 0.827 0.170 0.353
F 0.375 0.468 0.335
F 0.127 0.212 0.855
F 0.873 0.788 0.145
F 0.699 0.057 0.606
Cl 0.423 0.395 0.750
Cl 0.577 0.605 0.250
Bi 0.000 0.000 0.000
Bi 0.000 0.000 0.500
! total moment: 0.00 μB per formula unit
! DFT formation energy: -1.40 eV per atom
! symmetry: P-1 (2)
! E: -103.7 eV per formula unit



4.
! MgPaRu2, optimized geometry, DFT r²SCAN; values from VASP
&SYSTEM
  ibrav = 0, nat = 4, ntyp = 3
/
ATOMIC_SPECIES
Ru 101.07 Ru.upf
Mg 24.30 Mg.upf
Pa 231.04 Pa.upf
CELL_PARAMETERS angstrom
0.000 3.271 3.271
3.271 0.000 3.271
3.271 3.271 0.000
ATOMIC_POSITIONS crystal
Ru 0.500 0.500 0.500
Ru 0.000 0.000 0.000
Mg 0.250 0.250 0.250
Pa 0.750 0.750 0.750
! total moment: 0.00 μB per formula unit
! DFT formation energy: -0.40 eV per atom
! symmetry: Fm-3m (225)
! E: -133.5 eV per formula unit



5.
! MgTlF3, optimized geometry, DFT r²SCAN; values from VASP
&SYSTEM
  ibrav = 0, nat = 5, ntyp = 3
/
ATOMIC_SPECIES
Mg 24.30 Mg.upf
Tl 204.38 Tl.upf
F 19.00 F.upf
CELL_PARAMETERS angstrom
-0.004 -4.078 -0.036
-4.077 0.003 -0.016
0.016 0.033 -4.075
ATOMIC_POSITIONS crystal
Mg 0.487 0.500 0.499
Tl 0.988 0.000 0.997
F 0.489 0.000 0.497
F 0.489 0.500 0.999
F 0.988 0.500 0.497
! total moment: 0.00 μB per formula unit
! DFT formation energy: -3.06 eV per atom
! symmetry: Amm2 (38)
! E: -82.0 eV per formula unit



6.
! Y2CdGe2, optimized geometry, DFT r²SCAN; values from VASP
&SYSTEM
  ibrav = 0, nat = 10, ntyp = 3
/
ATOMIC_SPECIES
Y 88.91 Y.upf
Cd 112.41 Cd.upf
Ge 72.64 Ge.upf
CELL_PARAMETERS angstrom
-6.239 -0.186 -3.806
-0.135 -7.287 0.577
-2.181 0.323 3.560
ATOMIC_POSITIONS crystal
Y 0.679 0.179 0.500
Y 0.821 0.679 0.500
Y 0.321 0.821 0.500
Y 0.179 0.321 0.500
Cd 0.000 0.000 0.000
Cd 0.500 0.500 0.000
Ge 0.379 0.121 0.000
Ge 0.121 0.621 0.000
Ge 0.879 0.379 0.000
Ge 0.621 0.879 0.000
! total moment: 0.00 μB per formula unit
! DFT formation energy: -0.82 eV per atom
! symmetry: P4/mbm (127)
! E: -92.6 eV per formula unit



7.
! Nb3NiS6, optimized geometry, DFT r²SCAN; values from VASP
&SYSTEM
  ibrav = 0, nat = 20, ntyp = 3
/
ATOMIC_SPECIES
S 32.06 S.upf
Nb 92.91 Nb.upf
Ni 58.69 Ni.upf
CELL_PARAMETERS angstrom
0.072 0.547 -5.793
-4.822 1.305 2.986
3.752 11.317 1.115
ATOMIC_POSITIONS crystal
S 0.332 0.998 0.131
S 0.998 0.666 0.631
S 0.332 0.334 0.369
S 0.666 0.668 0.131
S 0.998 0.332 0.869
S 0.668 0.666 0.869
S 0.002 0.334 0.131
S 0.002 0.668 0.369
S 0.334 0.002 0.869
S 0.666 0.998 0.369
S 0.668 0.002 0.631
S 0.334 0.332 0.631
Nb 0.000 0.000 0.500
Nb 0.000 0.000 0.000
Nb 0.333 0.667 0.997
Nb 0.667 0.333 0.003
Nb 0.667 0.333 0.497
Nb 0.333 0.667 0.503
Ni 0.333 0.667 0.250
Ni 0.667 0.333 0.750
! total moment: 1.59 μB per formula unit
! DFT formation energy: -1.14 eV per atom
! symmetry: P6_322 (182)
! E: -145.8 eV per formula unit



8.
! U8MnSe17, optimized geometry, DFT r²SCAN; values from VASP
&SYSTEM
  ibrav = 0, nat = 26, ntyp = 3
/
ATOMIC_SPECIES
U 238.03 U.upf
Se 78.96 Se.upf
Mn 54.94 Mn.upf
CELL_PARAMETERS angstrom
2.216 -6.639 -4.482
8.180 -1.098 -0.985
1.893 -7.179 8.124
ATOMIC_POSITIONS crystal
U 0.796 0.796 0.458
U 0.816 0.302 0.297
U 0.303 0.815 0.296
U 0.697 0.185 0.704
U 0.319 0.319 0.017
U 0.681 0.681 0.983
U 0.184 0.698 0.703
U 0.204 0.204 0.542
Se 0.823 0.433 0.534
Se 0.671 0.058 0.969
Se 0.942 0.329 0.031
Se 0.058 0.671 0.969
Se 0.943 0.943 0.230
Se 0.177 0.567 0.466
Se 0.433 0.822 0.534
Se 0.301 0.301 0.754
Se 0.791 0.792 0.721
Se 0.699 0.699 0.246
Se 0.329 0.942 0.031
Se 0.567 0.178 0.466
Se 0.000 0.000 0.500
Se 0.057 0.057 0.770
Se 0.479 0.479 0.172
Se 0.521 0.521 0.828
Se 0.209 0.208 0.279
Mn 0.000 0.000 0.000
! total moment: 3.17 μB per formula unit
! DFT formation energy: -1.53 eV per atom
! symmetry: C2/m (12)
! E: -937.4 eV per formula unit